No. 1
VASP calculation (GGA+U) on LiVP2O7 after structural relaxation.

```
LiVP2O7
1.0
6.461 0.000 0.000
2.720 8.927 0.000
0.761 4.423 9.635
Li V P O
4 4 8 28
Direct
0.000 0.000 0.000 Li
0.080 0.444 0.625 Li
0.531 0.013 0.513 Li
0.689 0.796 0.083 Li
0.019 0.429 0.350 V
0.298 0.429 0.859 V
0.368 0.829 0.818 V
0.931 0.030 0.371 V
0.069 0.237 0.136 P
0.237 0.631 0.064 P
0.341 0.734 0.554 P
0.533 0.378 0.304 P
0.574 0.108 0.803 P
0.726 0.740 0.394 P
0.771 0.484 0.899 P
0.953 0.123 0.642 P
0.010 0.080 0.157 O
0.036 0.610 0.145 O
0.044 0.268 0.558 O
0.080 0.229 0.286 O
0.088 0.005 0.779 O
0.198 0.847 0.421 O
0.228 0.631 0.916 O
0.261 0.590 0.655 O
0.264 0.271 0.055 O
0.290 0.794 0.031 O
0.333 0.398 0.388 O
0.369 0.242 0.799 O
0.385 0.840 0.622 O
0.442 0.478 0.143 O
0.519 0.000 0.739 O
0.568 0.650 0.508 O
0.614 0.399 0.880 O
0.628 0.197 0.328 O
0.633 0.809 0.249 O
0.661 0.661 0.881 O
0.704 0.451 0.323 O
0.706 0.006 0.940 O
0.723 0.206 0.688 O
0.752 0.871 0.439 O
0.862 0.393 0.061 O
0.915 0.031 0.560 O
0.939 0.596 0.431 O
0.973 0.459 0.816 O
```

Properties
**Energy of formation**: -2686 meV per atom
**Total moment**: 2.00 μB/f.u.
**Space group**: P1

No. 2
VASP calculation (GGA+U) on LiVP2O7 after structural relaxation.

```
LiVP2O7
1.0
7.042 0.000 0.000
0.000 8.483 0.000
-3.531 0.000 8.573
Li V P O
4 4 8 28
Direct
0.198 0.071 0.097 Li
0.198 0.429 0.597 Li
0.802 0.571 0.403 Li
0.802 0.929 0.903 Li
0.305 0.071 0.689 V
0.305 0.429 0.189 V
0.695 0.571 0.811 V
0.695 0.929 0.311 V
0.067 0.737 0.740 P
0.067 0.763 0.240 P
0.475 0.715 0.033 P
0.475 0.785 0.533 P
0.525 0.215 0.467 P
0.525 0.285 0.967 P
0.933 0.237 0.760 P
0.933 0.263 0.260 P
0.044 0.610 0.623 O
0.044 0.890 0.123 O
0.117 0.248 0.709 O
0.117 0.252 0.209 O
0.121 0.600 0.194 O
0.121 0.900 0.694 O
0.252 0.690 0.904 O
0.252 0.810 0.404 O
0.368 0.216 0.547 O
0.368 0.284 0.047 O
0.480 0.619 0.608 O
0.480 0.881 0.108 O
0.493 0.085 0.348 O
0.493 0.415 0.848 O
0.507 0.585 0.152 O
0.507 0.915 0.652 O
0.520 0.119 0.892 O
0.520 0.381 0.392 O
0.632 0.716 0.953 O
0.632 0.784 0.453 O
0.748 0.190 0.596 O
0.748 0.310 0.096 O
0.879 0.100 0.306 O
0.879 0.400 0.806 O
0.883 0.748 0.791 O
0.883 0.752 0.291 O
0.956 0.110 0.877 O
0.956 0.390 0.377 O
```

Properties
**Energy of formation**: -2664 meV per atom
**Total moment**: 2.00 μB/f.u.
**Space group**: P2_1/c

No. 3
VASP calculation (GGA+U) on Li5V3P8O29 after structural relaxation.

```
Li5V3P8O29
1.0
9.739 0.000 0.000
4.864 8.507 0.000
0.202 0.177 14.112
Li V P O
10 6 16 58
Direct
0.000 0.000 0.000 Li
0.001 0.440 0.496 Li
0.428 0.022 0.044 Li
0.430 0.577 0.497 Li
0.433 0.442 0.002 Li
0.533 0.657 0.877 Li
0.666 0.675 0.375 Li
0.788 0.296 0.438 Li
0.828 0.327 0.930 Li
0.860 0.007 0.505 Li
0.193 0.914 0.194 V
0.198 0.342 0.692 V
0.326 0.343 0.193 V
0.326 0.778 0.688 V
0.763 0.907 0.691 V
0.767 0.777 0.183 V
0.069 0.124 0.602 P
0.071 0.255 0.099 P
0.099 0.671 0.569 P
0.102 0.681 0.069 P
0.430 0.008 0.806 P
0.435 0.002 0.306 P
0.449 0.428 0.785 P
0.449 0.568 0.278 P
0.536 0.664 0.095 P
0.544 0.260 0.602 P
0.675 0.126 0.103 P
0.676 0.661 0.594 P
0.845 0.028 0.286 P
0.846 0.559 0.777 P
0.984 0.426 0.283 P
0.991 0.026 0.784 P
0.016 0.003 0.270 O
0.020 0.421 0.772 O
0.088 0.528 0.617 O
0.097 0.701 0.964 O
0.098 0.829 0.114 O
0.103 0.265 0.599 O
0.104 0.080 0.100 O
0.105 0.652 0.464 O
0.142 0.428 0.265 O
0.147 0.870 0.767 O
0.223 0.967 0.608 O
0.235 0.244 0.108 O
0.250 0.530 0.106 O
0.252 0.664 0.608 O
0.281 0.155 0.759 O
0.282 0.007 0.261 O
0.289 0.432 0.766 O
0.291 0.725 0.263 O
0.381 0.267 0.612 O
0.383 0.825 0.111 O
0.418 0.013 0.912 O
0.423 0.427 0.276 O
0.426 0.596 0.775 O
0.435 0.855 0.770 O
0.435 0.986 0.411 O
0.436 0.149 0.265 O
0.502 0.267 0.100 O
0.505 0.687 0.598 O
0.519 0.357 0.879 O
0.526 0.582 0.008 O
0.532 0.572 0.367 O
0.556 0.553 0.187 O
0.559 0.354 0.522 O
0.566 0.329 0.701 O
0.572 0.016 0.764 O
0.578 0.852 0.261 O
0.660 0.975 0.108 O
0.672 0.817 0.612 O
0.678 0.689 0.094 O
0.681 0.088 0.600 O
0.742 0.147 0.203 O
0.758 0.583 0.503 O
0.759 0.533 0.857 O
0.769 0.542 0.679 O
0.775 0.132 0.025 O
0.785 0.107 0.379 O
0.841 0.718 0.772 O
0.842 0.593 0.274 O
0.846 0.873 0.273 O
0.853 0.993 0.769 O
0.952 0.682 0.114 O
0.952 0.826 0.604 O
0.958 0.142 0.524 O
0.970 0.343 0.018 O
0.975 0.325 0.198 O
0.977 0.147 0.702 O
0.978 0.352 0.376 O
0.982 0.101 0.877 O
```

Properties
**Offset from the most stable computed form**: 0.0003 eV/atom
**Energy of formation**: -2620 meV per atom
**Total moment**: 2.00 μB/f.u.
**Space group**: P1

No. 4
VASP calculation (GGA+U) on Li3V3P4O16 after structural relaxation.

```
Li3V3P4O16
1.0
8.072 0.000 0.000
0.004 8.829 0.000
0.042 1.125 13.152
Li V P O
9 9 12 48
Direct
0.000 0.000 0.000 Li
0.000 0.330 0.673 Li
0.266 0.519 0.680 Li
0.272 0.184 0.011 Li
0.275 0.866 0.342 Li
0.496 0.697 0.011 Li
0.502 0.352 0.341 Li
0.767 0.163 0.338 Li
0.772 0.822 0.672 Li
0.124 0.921 0.675 V
0.140 0.252 0.337 V
0.148 0.593 0.007 V
0.486 0.026 0.676 V
0.622 0.763 0.342 V
0.629 0.087 0.007 V
0.636 0.430 0.678 V
0.778 0.486 0.004 V
0.992 0.655 0.340 V
0.316 0.239 0.557 P
0.329 0.570 0.228 P
0.330 0.907 0.898 P
0.434 0.736 0.562 P
0.440 0.403 0.895 P
0.446 0.074 0.226 P
0.817 0.445 0.457 P
0.824 0.116 0.787 P
0.838 0.777 0.117 P
0.936 0.945 0.454 P
0.940 0.610 0.786 P
0.951 0.277 0.123 P
0.003 0.107 0.424 O
0.012 0.763 0.071 O
0.056 0.828 0.407 O
0.061 0.500 0.747 O
0.063 0.168 0.077 O
0.204 0.350 0.602 O
0.206 0.681 0.274 O
0.208 0.016 0.936 O
0.261 0.747 0.611 O
0.266 0.423 0.942 O
0.267 0.085 0.271 O
0.271 0.066 0.588 O
0.271 0.404 0.254 O
0.283 0.738 0.917 O
0.328 0.260 0.441 O
0.329 0.604 0.110 O
0.333 0.940 0.775 O
0.437 0.768 0.446 O
0.443 0.434 0.777 O
0.446 0.094 0.107 O
0.493 0.236 0.922 O
0.493 0.903 0.257 O
0.496 0.237 0.611 O
0.502 0.574 0.591 O
0.502 0.586 0.275 O
0.509 0.919 0.941 O
0.554 0.854 0.609 O
0.563 0.513 0.942 O
0.566 0.184 0.268 O
0.701 0.007 0.739 O
0.705 0.333 0.414 O
0.716 0.661 0.074 O
0.762 0.602 0.743 O
0.762 0.933 0.407 O
0.769 0.276 0.071 O
0.769 0.284 0.761 O
0.773 0.617 0.421 O
0.774 0.939 0.094 O
0.819 0.084 0.905 O
0.826 0.428 0.574 O
0.835 0.740 0.237 O
0.938 0.580 0.908 O
0.940 0.914 0.571 O
0.943 0.255 0.240 O
0.992 0.450 0.092 O
0.992 0.780 0.765 O
0.997 0.099 0.740 O
0.998 0.446 0.405 O
```

Properties
**Offset from the most stable computed form**: 0.0017 eV/atom
**Energy of formation**: -2709 meV per atom
**Total moment**: 6.00 μB/f.u.
**Space group**: P1

> What is the total moment in the third record?

2.00 μB/f.u.

> total moment of number 2 (LiVP2O7)?

2.00 μB/f.u.

> Look up the energy of formation of the fourth one.

-2709 meV per atom